[1]
# BaY2S4 (PBE, optimized geometry)
data_BaY2S4
_space_group_name_H-M_alt 'P n m a'
_space_group_IT_number 62
_space_group_name_Hall '-P 2ac 2n'
_cell_length_a 12.332
_cell_length_b 4.061
_cell_length_c 14.603
_cell_angle_alpha 90.00
_cell_angle_beta 90.00
_cell_angle_gamma 90.00
loop_
_atom_site_label
_atom_site_fract_x
_atom_site_fract_y
_atom_site_fract_z
_atom_site_occupancy
Ba1 0.242 0.250 0.162 1
Y1 0.067 0.250 0.391 1
Y2 0.079 0.250 0.898 1
S1 0.022 0.750 0.783 1
S2 0.081 0.250 0.577 1
S3 0.124 0.750 0.023 1
S4 0.207 0.750 0.336 1
# **E_tot**: -6.626 eV/atom
# **V**: 731.37 Å³ per cell
# **Formation energy**: -2428 meV/atom

[2]
# Lu5B4Rh15 (PBE, optimized geometry)
data_Lu5B4Rh15
_space_group_name_H-M_alt 'P 4/m m m'
_space_group_IT_number 123
_space_group_name_Hall '-P 4 2'
_cell_length_a 4.185
_cell_length_b 4.185
_cell_length_c 20.482
_cell_angle_alpha 90.00
_cell_angle_beta 90.00
_cell_angle_gamma 90.00
loop_
_atom_site_label
_atom_site_fract_x
_atom_site_fract_y
_atom_site_fract_z
_atom_site_occupancy
Lu1 0.000 0.000 0.000 1
Lu2 0.000 0.000 0.201 1
Lu3 0.000 0.000 0.403 1
B1 0.500 0.500 0.102 1
B2 0.500 0.500 0.309 1
Rh1 0.000 0.500 0.100 1
Rh2 0.000 0.500 0.302 1
Rh3 0.000 0.500 0.500 1
Rh4 0.500 0.500 0.000 1
Rh5 0.500 0.500 0.203 1
Rh6 0.500 0.500 0.409 1
# **E_tot**: -7.447 eV/atom
# **V**: 358.72 Å³ per cell
# **Formation energy**: -790 meV/atom

[3]
# Sr2Ti2GaO7 (PBE, optimized geometry)
data_Sr2Ti2GaO7
_space_group_name_H-M_alt 'C 1 m 1'
_space_group_IT_number 8
_space_group_name_Hall 'C -2y'
_cell_length_a 7.908
_cell_length_b 21.829
_cell_length_c 5.589
_cell_angle_alpha 90.00
_cell_angle_beta 133.99
_cell_angle_gamma 90.00
loop_
_atom_site_label
_atom_site_fract_x
_atom_site_fract_y
_atom_site_fract_z
_atom_site_occupancy
Sr1 0.000 0.103 0.000 1
Sr2 0.030 0.397 0.029 1
Ti1 0.007 0.325 0.493 1
Ti2 0.009 0.175 0.495 1
Ga1 0.095 0.000 0.562 1
Ga2 0.439 0.000 0.404 1
O1 0.060 0.422 0.588 1
O2 0.145 0.000 0.275 1
O3 0.261 0.322 0.528 1
O4 0.263 0.170 0.529 1
O5 0.274 0.170 0.041 1
O6 0.280 0.322 0.048 1
O7 0.386 0.000 0.016 1
O8 0.474 0.422 0.504 1
# **E_tot**: -7.323 eV/atom
# **V**: 694.14 Å³ per cell
# **Formation energy**: -2988 meV/atom

[4]
# Na2Ca5Zr3S12O48 (PBE, optimized geometry)
data_Na2Ca5Zr3S12O48
_space_group_name_H-M_alt 'P 1'
_space_group_IT_number 1
_space_group_name_Hall 'P 1'
_cell_length_a 9.132
_cell_length_b 15.808
_cell_length_c 23.893
_cell_angle_alpha 90.04
_cell_angle_beta 90.07
_cell_angle_gamma 90.04
loop_
_atom_site_label
_atom_site_fract_x
_atom_site_fract_y
_atom_site_fract_z
_atom_site_occupancy
Na1 0.000 0.000 0.000 1
Na2 0.001 0.334 0.328 1
Na3 0.499 0.831 0.832 1
Na4 0.502 0.503 0.999 1
Na5 0.504 0.500 0.496 1
Na6 0.999 0.003 0.489 1
Ca1 0.000 0.999 0.344 1
Ca2 0.001 0.004 0.848 1
Ca3 0.001 0.005 0.146 1
Ca4 0.001 0.333 0.474 1
Ca5 0.001 0.334 0.181 1
Ca6 0.002 0.664 0.518 1
Ca7 0.002 0.672 0.021 1
Ca8 0.500 0.164 0.020 1
Ca9 0.501 0.498 0.145 1
Ca10 0.501 0.499 0.846 1
Ca11 0.501 0.505 0.646 1
Ca12 0.501 0.832 0.681 1
Ca13 0.501 0.834 0.976 1
Ca14 0.502 0.172 0.518 1
Ca15 0.502 0.503 0.345 1
Zr1 0.000 0.668 0.307 1
Zr2 0.001 0.336 0.977 1
Zr3 0.001 0.999 0.644 1
Zr4 0.003 0.666 0.811 1
Zr5 0.499 0.170 0.811 1
Zr6 0.501 0.835 0.179 1
Zr7 0.502 0.168 0.308 1
Zr8 0.503 0.834 0.473 1
Zr9 0.999 0.338 0.680 1
S1 0.141 0.187 0.582 1
S2 0.144 0.522 0.914 1
S3 0.146 0.813 0.911 1
S4 0.149 0.478 0.579 1
S5 0.152 0.151 0.249 1
S6 0.152 0.851 0.246 1
S7 0.202 0.502 0.248 1
S8 0.210 0.839 0.578 1
S9 0.211 0.170 0.914 1
S10 0.290 0.337 0.077 1
S11 0.291 0.670 0.414 1
S12 0.293 0.004 0.747 1
S13 0.349 0.650 0.749 1
S14 0.350 0.351 0.745 1
S15 0.353 0.978 0.079 1
S16 0.356 0.313 0.411 1
S17 0.357 0.022 0.414 1
S18 0.360 0.689 0.080 1
S19 0.642 0.690 0.576 1
S20 0.644 0.024 0.910 1
S21 0.649 0.312 0.913 1
S22 0.650 0.351 0.248 1
S23 0.650 0.652 0.245 1
S24 0.652 0.978 0.579 1
S25 0.699 0.001 0.245 1
S26 0.712 0.337 0.580 1
S27 0.712 0.668 0.911 1
S28 0.790 0.837 0.080 1
S29 0.791 0.167 0.411 1
S30 0.802 0.502 0.746 1
S31 0.853 0.149 0.744 1
S32 0.853 0.479 0.077 1
S33 0.855 0.813 0.414 1
S34 0.857 0.524 0.411 1
S35 0.858 0.854 0.747 1
S36 0.860 0.189 0.076 1
O1 0.071 0.437 0.920 1
O2 0.072 0.099 0.594 1
O3 0.073 0.218 0.531 1
O4 0.076 0.560 0.578 1
O5 0.079 0.564 0.862 1
O6 0.079 0.885 0.197 1
O7 0.080 0.897 0.904 1
O8 0.087 0.110 0.298 1
O9 0.088 0.430 0.631 1
O10 0.088 0.764 0.259 1
O11 0.090 0.773 0.961 1
O12 0.094 0.237 0.243 1
O13 0.101 0.430 0.243 1
O14 0.103 0.758 0.860 1
O15 0.104 0.242 0.632 1
O16 0.107 0.581 0.259 1
O17 0.113 0.768 0.569 1
O18 0.114 0.098 0.905 1
O19 0.116 0.919 0.586 1
O20 0.117 0.574 0.963 1
O21 0.120 0.427 0.529 1
O22 0.121 0.249 0.919 1
O23 0.135 0.101 0.198 1
O24 0.137 0.903 0.296 1
O25 0.185 0.345 0.026 1
O26 0.185 0.658 0.760 1
O27 0.190 0.337 0.733 1
O28 0.193 0.987 0.086 1
O29 0.195 0.015 0.696 1
O30 0.195 0.318 0.411 1
O31 0.198 0.683 0.363 1
O32 0.199 0.007 0.407 1
O33 0.201 0.685 0.078 1
O34 0.202 0.658 0.463 1
O35 0.203 0.328 0.127 1
O36 0.203 0.990 0.796 1
O37 0.286 0.519 0.198 1
O38 0.294 0.491 0.298 1
O39 0.297 0.828 0.629 1
O40 0.298 0.176 0.578 1
O41 0.302 0.157 0.962 1
O42 0.302 0.509 0.906 1
O43 0.307 0.854 0.528 1
O44 0.308 0.487 0.586 1
O45 0.308 0.818 0.910 1
O46 0.309 0.181 0.862 1
O47 0.312 0.838 0.234 1
O48 0.317 0.158 0.260 1
O49 0.365 0.403 0.795 1
O50 0.367 0.601 0.697 1
O51 0.379 0.415 0.077 1
O52 0.380 0.262 0.068 1
O53 0.381 0.928 0.029 1
O54 0.383 0.083 0.754 1
O55 0.384 0.073 0.464 1
O56 0.384 0.750 0.422 1
O57 0.391 0.598 0.406 1
O58 0.391 0.932 0.738 1
O59 0.398 0.258 0.361 1
O60 0.401 0.743 0.130 1
O61 0.408 0.737 0.744 1
O62 0.412 0.274 0.462 1
O63 0.414 0.264 0.758 1
O64 0.414 0.930 0.130 1
O65 0.416 0.610 0.797 1
O66 0.421 0.728 0.029 1
O67 0.422 0.061 0.363 1
O68 0.422 0.398 0.405 1
O69 0.423 0.385 0.696 1
O70 0.426 0.060 0.078 1
O71 0.427 0.605 0.087 1
O72 0.431 0.936 0.423 1
O73 0.569 0.607 0.576 1
O74 0.572 0.940 0.909 1
O75 0.575 0.740 0.526 1
O76 0.580 0.264 0.259 1
O77 0.581 0.618 0.295 1
O78 0.583 0.073 0.859 1
O79 0.583 0.385 0.197 1
O80 0.584 0.272 0.962 1
O81 0.588 0.397 0.905 1
O82 0.590 0.739 0.233 1
O83 0.592 0.940 0.629 1
O84 0.595 0.062 0.570 1
O85 0.600 0.927 0.233 1
O86 0.601 0.076 0.258 1
O87 0.612 0.738 0.627 1
O88 0.613 0.072 0.961 1
O89 0.616 0.258 0.861 1
O90 0.619 0.592 0.904 1
O91 0.620 0.412 0.587 1
O92 0.621 0.404 0.297 1
O93 0.623 0.746 0.909 1
O94 0.626 0.259 0.579 1
O95 0.626 0.923 0.528 1
O96 0.636 0.598 0.196 1
O97 0.688 0.831 0.130 1
O98 0.689 0.820 0.422 1
O99 0.690 0.173 0.360 1
O100 0.691 0.483 0.077 1
O101 0.692 0.157 0.753 1
O102 0.697 0.515 0.405 1
O103 0.701 0.843 0.738 1
O104 0.701 0.849 0.029 1
O105 0.703 0.159 0.462 1
O106 0.703 0.182 0.068 1
O107 0.714 0.482 0.795 1
O108 0.715 0.520 0.696 1
O109 0.787 0.020 0.196 1
O110 0.787 0.982 0.295 1
O111 0.798 0.683 0.568 1
O112 0.801 0.660 0.961 1
O113 0.803 0.015 0.904 1
O114 0.803 0.348 0.529 1
O115 0.809 0.338 0.243 1
O116 0.812 0.317 0.919 1
O117 0.813 0.664 0.258 1
O118 0.814 0.674 0.859 1
O119 0.815 0.330 0.631 1
O120 0.820 0.985 0.586 1
O121 0.876 0.760 0.078 1
O122 0.880 0.245 0.411 1
O123 0.881 0.090 0.695 1
O124 0.881 0.761 0.362 1
O125 0.883 0.913 0.087 1
O126 0.885 0.091 0.406 1
O127 0.885 0.907 0.796 1
O128 0.888 0.571 0.461 1
O129 0.891 0.237 0.127 1
O130 0.893 0.422 0.026 1
O131 0.900 0.576 0.758 1
O132 0.901 0.427 0.734 1
O133 0.910 0.439 0.127 1
O134 0.912 0.899 0.407 1
O135 0.915 0.233 0.730 1
O136 0.917 0.572 0.360 1
O137 0.917 0.773 0.463 1
O138 0.920 0.561 0.068 1
O139 0.924 0.115 0.794 1
O140 0.925 0.238 0.026 1
O141 0.925 0.898 0.695 1
O142 0.929 0.440 0.410 1
O143 0.931 0.770 0.753 1
O144 0.933 0.106 0.076 1
# **E_tot**: -6.666 eV/atom
# **V**: 3448.96 Å³ per cell
# **Formation energy**: -2488 meV/atom

[5]
# Eu3U (PBE, optimized geometry)
data_Eu3U
_space_group_name_H-M_alt 'F m -3 m'
_space_group_IT_number 225
_space_group_name_Hall '-F 4 2 3'
_cell_length_a 8.826
_cell_length_b 8.826
_cell_length_c 8.826
_cell_angle_alpha 90.00
_cell_angle_beta 90.00
_cell_angle_gamma 90.00
loop_
_atom_site_label
_atom_site_fract_x
_atom_site_fract_y
_atom_site_fract_z
_atom_site_occupancy
Eu1 0.000 0.000 0.000 1
Eu2 0.250 0.250 0.250 1
U1 0.000 0.000 0.500 1
# **E_tot**: -9.868 eV/atom
# **V**: 687.47 Å³ per cell
# **Formation energy**: 648 meV/atom

[6]
# Sc3NbSiS5O24 (PBE, optimized geometry)
data_Sc3NbSiS5O24
_space_group_name_H-M_alt 'P 1'
_space_group_IT_number 1
_space_group_name_Hall 'P 1'
_cell_length_a 8.883
_cell_length_b 8.883
_cell_length_c 22.923
_cell_angle_alpha 89.86
_cell_angle_beta 89.70
_cell_angle_gamma 60.05
loop_
_atom_site_label
_atom_site_fract_x
_atom_site_fract_y
_atom_site_fract_z
_atom_site_occupancy
Sc1 0.000 0.000 0.000 1
Sc2 0.000 0.005 0.213 1
Sc3 0.005 0.014 0.505 1
Sc4 0.325 0.338 0.670 1
Sc5 0.334 0.338 0.380 1
Sc6 0.335 0.340 0.170 1
Sc7 0.662 0.682 0.838 1
Sc8 0.668 0.672 0.336 1
Sc9 0.998 0.018 0.715 1
Nb1 0.341 0.339 0.883 1
Nb2 0.657 0.679 0.043 1
Nb3 0.674 0.667 0.550 1
Si1 0.010 0.285 0.609 1
Si2 0.378 0.677 0.939 1
Si3 0.672 0.958 0.939 1
S1 0.001 0.714 0.109 1
S2 0.047 0.338 0.275 1
S3 0.047 0.627 0.775 1
S4 0.289 0.715 0.608 1
S5 0.291 0.006 0.109 1
S6 0.334 0.627 0.275 1
S7 0.335 0.051 0.775 1
S8 0.382 0.958 0.441 1
S9 0.622 0.339 0.775 1
S10 0.624 0.050 0.275 1
S11 0.668 0.385 0.441 1
S12 0.713 0.007 0.608 1
S13 0.713 0.295 0.109 1
S14 0.955 0.673 0.441 1
S15 0.956 0.384 0.941 1
O1 0.027 0.183 0.266 1
O2 0.028 0.178 0.551 1
O3 0.032 0.792 0.057 1
O4 0.032 0.797 0.767 1
O5 0.127 0.367 0.223 1
O6 0.127 0.515 0.434 1
O7 0.131 0.369 0.933 1
O8 0.131 0.518 0.723 1
O9 0.154 0.540 0.119 1
O10 0.156 0.309 0.328 1
O11 0.160 0.538 0.828 1
O12 0.166 0.324 0.618 1
O13 0.180 0.033 0.768 1
O14 0.180 0.801 0.266 1
O15 0.186 0.034 0.057 1
O16 0.186 0.793 0.555 1
O17 0.194 0.836 0.955 1
O18 0.211 0.974 0.449 1
O19 0.214 0.973 0.161 1
O20 0.219 0.824 0.660 1
O21 0.306 0.546 0.328 1
O22 0.307 0.163 0.827 1
O23 0.317 0.155 0.119 1
O24 0.322 0.539 0.616 1
O25 0.360 0.500 0.930 1
O26 0.363 0.132 0.723 1
O27 0.364 0.132 0.433 1
O28 0.364 0.517 0.223 1
O29 0.465 0.849 0.389 1
O30 0.469 0.699 0.596 1
O31 0.469 0.845 0.101 1
O32 0.475 0.694 0.884 1
O33 0.489 0.646 0.284 1
O34 0.489 0.879 0.782 1
O35 0.491 0.149 0.929 1
O36 0.492 0.875 0.494 1
O37 0.508 0.636 0.999 1
O38 0.511 0.370 0.434 1
O39 0.514 0.130 0.223 1
O40 0.514 0.364 0.723 1
O41 0.533 0.313 0.828 1
O42 0.538 0.318 0.119 1
O43 0.539 0.154 0.616 1
O44 0.543 0.160 0.328 1
O45 0.637 0.863 0.998 1
O46 0.640 0.498 0.494 1
O47 0.643 0.876 0.284 1
O48 0.644 0.489 0.784 1
O49 0.691 0.847 0.596 1
O50 0.696 0.467 0.390 1
O51 0.696 0.471 0.101 1
O52 0.701 0.839 0.885 1
O53 0.791 0.189 0.057 1
O54 0.792 0.178 0.770 1
O55 0.794 0.028 0.555 1
O56 0.798 0.030 0.266 1
O57 0.819 0.212 0.450 1
O58 0.822 0.215 0.161 1
O59 0.822 0.964 0.660 1
O60 0.825 0.993 0.954 1
O61 0.831 0.485 0.594 1
O62 0.846 0.692 0.100 1
O63 0.846 0.698 0.390 1
O64 0.851 0.461 0.889 1
O65 0.868 0.645 0.495 1
O66 0.873 0.492 0.285 1
O67 0.875 0.498 0.995 1
O68 0.878 0.640 0.783 1
O69 0.962 0.207 0.665 1
O70 0.970 0.824 0.161 1
O71 0.974 0.824 0.452 1
O72 0.979 0.214 0.952 1
# **E_tot**: -7.231 eV/atom
# **V**: 1567.24 Å³ per cell
# **Formation energy**: -2600 meV/atom